# Na5La3SnP6O24 (PBE, relaxed)
data_Na5La3SnP6O24
_symmetry_space_group_name_H-M 'P 1'
_symmetry_Int_Tables_number 1
_symmetry_space_group_name_Hall 'P 1'
_cell_length_a 9.4702
_cell_length_b 9.4728
_cell_length_c 23.4668
_cell_angle_alpha 89.81
_cell_angle_beta 89.93
_cell_angle_gamma 120.09
loop_
_atom_site_label
_atom_site_type_symbol
_atom_site_fract_x
_atom_site_fract_y
_atom_site_fract_z
Na1 Na 0.6428 0.0015 0.2590
Na2 Na 0.3623 0.3635 0.2611
Na3 Na 0.9948 0.6340 0.2589
Na4 Na 0.6568 0.6601 0.7557
Na5 Na 0.9984 0.3572 0.7560
Na6 Na 0.0355 0.7004 0.5743
Na7 Na 0.6642 0.9660 0.5738
Na8 Na 0.6615 0.6968 0.0737
Na9 Na 0.0377 0.3354 0.0730
Na10 Na 0.0186 0.0169 0.4969
Na11 Na 0.0211 0.0019 0.9968
Na12 Na 0.6541 0.3210 0.8400
Na13 Na 0.6676 0.3325 0.3476
Na14 Na 0.3361 0.6833 0.1720
Na15 Na 0.3348 0.6718 0.6721
La1 La 0.9943 0.9967 0.3561
La2 La 0.0021 0.9985 0.8548
La3 La 0.0170 0.0105 0.6524
La4 La 0.0126 0.0005 0.1458
La5 La 0.6479 0.3235 0.6865
La6 La 0.6579 0.3243 0.1784
La7 La 0.3327 0.6771 0.0103
La8 La 0.3320 0.6513 0.5138
La9 La 0.3335 0.6637 0.3314
Sn1 Sn 0.6627 0.3297 0.9777
Sn2 Sn 0.6613 0.3327 0.4847
Sn3 Sn 0.3330 0.6748 0.8243
P1 P 0.3034 0.9900 0.2520
P2 P 0.6896 0.6972 0.2453
P3 P 0.0086 0.3106 0.2457
P4 P 0.3029 0.3306 0.7573
P5 P 0.0166 0.6955 0.7506
P6 P 0.6825 0.9809 0.7515
P7 P 0.9468 0.3240 0.5841
P8 P 0.3664 0.0363 0.5778
P9 P 0.6796 0.6361 0.5835
P10 P 0.9491 0.6233 0.0780
P11 P 0.6791 0.0423 0.0781
P12 P 0.3688 0.3302 0.0765
P13 P 0.6233 0.6424 0.9176
P14 P 0.0179 0.3746 0.9183
P15 P 0.3583 0.9846 0.9164
P16 P 0.6467 0.9967 0.4224
P17 P 0.3500 0.3488 0.4158
P18 P 0.0038 0.6510 0.4226
O1 O 0.2100 0.0052 0.3025
O2 O 0.8063 0.7944 0.2940
O3 O 0.9911 0.1944 0.2946
O4 O 0.2167 0.2193 0.8076
O5 O 0.9810 0.7866 0.7972
O6 O 0.8048 0.0059 0.7986
O7 O 0.7470 0.9492 0.6945
O8 O 0.2026 0.2556 0.7020
O9 O 0.0426 0.7844 0.6925
O10 O 0.7645 0.7849 0.1876
O11 O 0.0242 0.2376 0.1882
O12 O 0.2098 0.9758 0.1960
O13 O 0.8732 0.3330 0.6417
O14 O 0.4558 0.1172 0.6332
O15 O 0.6649 0.5520 0.6413
O16 O 0.8768 0.5489 0.1370
O17 O 0.6700 0.1097 0.1371
O18 O 0.4413 0.3286 0.1354
O19 O 0.4760 0.3233 0.0272
O20 O 0.8304 0.5141 0.0298
O21 O 0.6793 0.1560 0.0294
O22 O 0.4609 0.1437 0.5255
O23 O 0.6845 0.5293 0.5335
O24 O 0.8290 0.3070 0.5344
O25 O 0.5521 0.6595 0.9742
O26 O 0.1063 0.4434 0.9750
O27 O 0.3395 0.8970 0.9728
O28 O 0.5524 0.8891 0.4741
O29 O 0.3359 0.4541 0.4626
O30 O 0.1101 0.6645 0.4744
O31 O 0.0845 0.6383 0.3661
O32 O 0.5561 0.9142 0.3657
O33 O 0.3614 0.4306 0.3569
O34 O 0.1180 0.4907 0.8664
O35 O 0.3731 0.8856 0.8650
O36 O 0.5118 0.6328 0.8654
O37 O 0.9774 0.7982 0.4215
O38 O 0.8212 0.0242 0.4222
O39 O 0.2030 0.1755 0.4191
O40 O 0.9911 0.2030 0.9101
O41 O 0.2139 0.0121 0.9096
O42 O 0.7965 0.7870 0.9106
O43 O 0.9600 0.1669 0.5819
O44 O 0.1906 0.0098 0.5775
O45 O 0.8436 0.8023 0.5810
O46 O 0.9607 0.7923 0.0724
O47 O 0.8429 0.0411 0.0731
O48 O 0.1926 0.1837 0.0712
O49 O 0.6621 0.1324 0.7501
O50 O 0.4824 0.3706 0.7531
O51 O 0.8691 0.5174 0.7490
O52 O 0.6626 0.5207 0.2473
O53 O 0.8564 0.3334 0.2474
O54 O 0.4790 0.1414 0.2515
O55 O 0.6285 0.4788 0.9175
O56 O 0.8484 0.3685 0.9186
O57 O 0.5222 0.1527 0.9168
O58 O 0.6545 0.1652 0.4254
O59 O 0.5127 0.3468 0.4230
O60 O 0.8348 0.4896 0.4264
O61 O 0.3603 0.4898 0.0748
O62 O 0.1158 0.6319 0.0747
O63 O 0.5371 0.8642 0.0751
O64 O 0.3523 0.8654 0.5762
O65 O 0.5374 0.6722 0.5786
O66 O 0.1146 0.4816 0.5785
O67 O 0.3180 0.8334 0.2560
O68 O 0.5211 0.6877 0.2528
O69 O 0.1645 0.4819 0.2529
O70 O 0.3062 0.4989 0.7632
O71 O 0.1739 0.6827 0.7623
O72 O 0.5144 0.8184 0.7624
# Symmetry: P1
# Size of the total moment, μB per atom: 0.000
# Energy with MP2020 corrections, eV/atom: -7.45
# Final energy, hartree per atom: -0.2583



# Na2La3Ta5P12O48 (PBE, relaxed)
data_Na2La3Ta5P12O48
_symmetry_space_group_name_H-M 'P 1'
_symmetry_Int_Tables_number 1
_symmetry_space_group_name_Hall 'P 1'
_cell_length_a 17.9860
_cell_length_b 8.9989
_cell_length_c 23.3990
_cell_angle_alpha 89.98
_cell_angle_beta 90.08
_cell_angle_gamma 119.96
loop_
_atom_site_label
_atom_site_type_symbol
_atom_site_fract_x
_atom_site_fract_y
_atom_site_fract_z
Na1 Na 0.3313 0.3294 0.8318
Na2 Na 0.8354 0.3375 0.8323
Na3 Na 0.3326 0.3289 0.3311
Na4 Na 0.8336 0.3384 0.3292
Na5 Na 0.6666 0.6658 0.1656
Na6 Na 0.1656 0.6648 0.6646
La1 La 0.9908 0.9972 0.3629
La2 La 0.3402 0.3344 0.6915
La3 La 0.8261 0.3302 0.6889
La4 La 0.3300 0.3304 0.1882
La5 La 0.8351 0.3336 0.1859
La6 La 0.6667 0.6671 0.0111
La7 La 0.1736 0.6800 0.5168
La8 La 0.6705 0.6695 0.3119
La9 La 0.1661 0.6665 0.8125
Ta1 Ta 0.5034 0.0041 0.3570
Ta2 Ta 0.0033 0.0027 0.8565
Ta3 Ta 0.4965 0.9964 0.8563
Ta4 Ta 0.9959 0.9960 0.6423
Ta5 Ta 0.5048 0.0054 0.6422
Ta6 Ta 0.0051 0.0047 0.1460
Ta7 Ta 0.4955 0.9958 0.1439
Ta8 Ta 0.3362 0.3378 0.9850
Ta9 Ta 0.8309 0.3279 0.9845
Ta10 Ta 0.3310 0.3345 0.4820
Ta11 Ta 0.8368 0.3369 0.4842
Ta12 Ta 0.1659 0.6660 0.0159
Ta13 Ta 0.6625 0.6630 0.5175
Ta14 Ta 0.1664 0.6650 0.3113
Ta15 Ta 0.6677 0.6680 0.8120
P1 P 0.1395 0.9830 0.2520
P2 P 0.6352 0.9958 0.2498
P3 P 0.3582 0.7270 0.2551
P4 P 0.8533 0.7195 0.2445
P5 P 0.0106 0.3002 0.2500
P6 P 0.5014 0.2753 0.2498
P7 P 0.1354 0.2732 0.7493
P8 P 0.6346 0.2857 0.7541
P9 P 0.0006 0.7277 0.7492
P10 P 0.5089 0.7328 0.7538
P11 P 0.3629 0.9910 0.7487
P12 P 0.8579 0.9898 0.7545
P13 P 0.4808 0.3292 0.5796
P14 P 0.9779 0.3265 0.5862
P15 P 0.1824 0.0500 0.5847
P16 P 0.6865 0.0336 0.5816
P17 P 0.3410 0.6328 0.5862
P18 P 0.8313 0.6304 0.5800
P19 P 0.4797 0.6342 0.0852
P20 P 0.9829 0.6356 0.0790
P21 P 0.3319 0.0337 0.0799
P22 P 0.8406 0.0390 0.0840
P23 P 0.1857 0.3376 0.0808
P24 P 0.6788 0.3175 0.0829
P25 P 0.3153 0.6626 0.9187
P26 P 0.8162 0.6589 0.9123
P27 P 0.0153 0.3675 0.9185
P28 P 0.5139 0.3700 0.9122
P29 P 0.1702 0.9706 0.9186
P30 P 0.6695 0.9712 0.9124
P31 P 0.3161 0.9739 0.4118
P32 P 0.8074 0.9662 0.4237
P33 P 0.1785 0.3863 0.4150
P34 P 0.6692 0.3710 0.4196
P35 P 0.0139 0.6385 0.4148
P36 P 0.5162 0.6632 0.4187
O1 O 0.0981 0.0089 0.3030
O2 O 0.5868 0.9941 0.3062
O3 O 0.4158 0.8255 0.3071
O4 O 0.8951 0.8011 0.3002
O5 O 0.5065 0.1761 0.3035
O6 O 0.9949 0.1983 0.3033
O7 O 0.0869 0.1793 0.8061
O8 O 0.5820 0.1726 0.8046
O9 O 0.5008 0.8261 0.8070
O10 O 0.0060 0.8359 0.8036
O11 O 0.4088 0.9791 0.8037
O12 O 0.9146 0.0051 0.8071
O13 O 0.4158 0.9949 0.6943
O14 O 0.8980 0.9704 0.6986
O15 O 0.0805 0.1680 0.6962
O16 O 0.5888 0.2047 0.6965
O17 O 0.9980 0.8230 0.6936
O18 O 0.5186 0.8382 0.6988
O19 O 0.3997 0.8261 0.1984
O20 O 0.9133 0.8334 0.1915
O21 O 0.0189 0.2014 0.1956
O22 O 0.4980 0.1737 0.1935
O23 O 0.0888 0.9732 0.1944
O24 O 0.5808 0.9934 0.1959
O25 O 0.4548 0.3795 0.6339
O26 O 0.9382 0.3553 0.6389
O27 O 0.2368 0.1318 0.6368
O28 O 0.7373 0.0844 0.6363
O29 O 0.3291 0.5310 0.6396
O30 O 0.8056 0.5227 0.6334
O31 O 0.4434 0.5261 0.1380
O32 O 0.9565 0.5271 0.1316
O33 O 0.3054 0.0905 0.1324
O34 O 0.8224 0.1071 0.1375
O35 O 0.2388 0.3937 0.1343
O36 O 0.7326 0.3509 0.1354
O37 O 0.2373 0.3096 0.0310
O38 O 0.7316 0.3000 0.0292
O39 O 0.4204 0.5293 0.0318
O40 O 0.9160 0.5329 0.0285
O41 O 0.3495 0.1647 0.0291
O42 O 0.8459 0.1632 0.0314
O43 O 0.2322 0.1642 0.5298
O44 O 0.7341 0.1642 0.5329
O45 O 0.3478 0.5317 0.5327
O46 O 0.8504 0.5370 0.5302
O47 O 0.4160 0.2952 0.5296
O48 O 0.9192 0.3086 0.5326
O49 O 0.2659 0.6926 0.9675
O50 O 0.7914 0.7119 0.9665
O51 O 0.0806 0.4681 0.9672
O52 O 0.5642 0.4168 0.9669
O53 O 0.1547 0.8407 0.9673
O54 O 0.6431 0.8700 0.9668
O55 O 0.2939 0.8758 0.4670
O56 O 0.7479 0.8346 0.4696
O57 O 0.1658 0.4557 0.4705
O58 O 0.6521 0.4676 0.4684
O59 O 0.0618 0.6648 0.4702
O60 O 0.5770 0.6899 0.4696
O61 O 0.0660 0.6202 0.3628
O62 O 0.5446 0.6144 0.3645
O63 O 0.2509 0.8760 0.3627
O64 O 0.7629 0.9149 0.3658
O65 O 0.1902 0.5092 0.3632
O66 O 0.6931 0.4728 0.3647
O67 O 0.0422 0.4721 0.8641
O68 O 0.5647 0.5005 0.8629
O69 O 0.1951 0.9167 0.8641
O70 O 0.6846 0.8697 0.8630
O71 O 0.2639 0.6122 0.8639
O72 O 0.7497 0.6296 0.8629
O73 O 0.9940 0.7776 0.4057
O74 O 0.5068 0.8252 0.4094
O75 O 0.4073 0.0078 0.3948
O76 O 0.8933 0.9832 0.4313
O77 O 0.1101 0.2061 0.4058
O78 O 0.5885 0.1899 0.4098
O79 O 0.0072 0.1879 0.9093
O80 O 0.4964 0.1879 0.8952
O81 O 0.0885 0.9868 0.9092
O82 O 0.5953 0.0050 0.8956
O83 O 0.4057 0.8251 0.9098
O84 O 0.9065 0.8080 0.8949
O85 O 0.4909 0.1673 0.5911
O86 O 0.9758 0.1507 0.5943
O87 O 0.0930 0.0413 0.5921
O88 O 0.5986 0.0266 0.5933
O89 O 0.4279 0.8114 0.5943
O90 O 0.9130 0.8070 0.5912
O91 O 0.4761 0.8031 0.0926
O92 O 0.9924 0.8145 0.0889
O93 O 0.4129 0.0192 0.0901
O94 O 0.9277 0.0411 0.0916
O95 O 0.0990 0.1720 0.0903
O96 O 0.5909 0.1463 0.0909
O97 O 0.3620 0.1581 0.7557
O98 O 0.8447 0.1436 0.7557
O99 O 0.2218 0.2814 0.7536
O100 O 0.7236 0.3071 0.7577
O101 O 0.4308 0.5551 0.7556
O102 O 0.9183 0.5552 0.7550
O103 O 0.3469 0.5480 0.2555
O104 O 0.8443 0.5420 0.2445
O105 O 0.4191 0.2829 0.2549
O106 O 0.9391 0.3420 0.2442
O107 O 0.2321 0.1281 0.2470
O108 O 0.7218 0.1586 0.2535
O109 O 0.3302 0.5117 0.9362
O110 O 0.8230 0.4932 0.9215
O111 O 0.4236 0.3553 0.9215
O112 O 0.9254 0.3398 0.9363
O113 O 0.2458 0.1517 0.9361
O114 O 0.7529 0.1497 0.9218
O115 O 0.3238 0.1551 0.4224
O116 O 0.8138 0.1418 0.4383
O117 O 0.2651 0.3781 0.4237
O118 O 0.7458 0.3463 0.4376
O119 O 0.4274 0.5096 0.4368
O120 O 0.9227 0.4660 0.4224
O121 O 0.1699 0.4859 0.0601
O122 O 0.6616 0.4633 0.0735
O123 O 0.0720 0.6607 0.0586
O124 O 0.5709 0.6751 0.0761
O125 O 0.2568 0.8549 0.0600
O126 O 0.7683 0.8591 0.0734
O127 O 0.1644 0.8676 0.5801
O128 O 0.6655 0.8492 0.5643
O129 O 0.2697 0.6743 0.5814
O130 O 0.7567 0.6601 0.5608
O131 O 0.0697 0.4680 0.5792
O132 O 0.5705 0.4781 0.5619
O133 O 0.1434 0.8115 0.2603
O134 O 0.6386 0.8310 0.2456
O135 O 0.2700 0.7179 0.2649
O136 O 0.7677 0.7137 0.2352
O137 O 0.0979 0.4763 0.2585
O138 O 0.5829 0.4481 0.2456
O139 O 0.1407 0.4471 0.7457
O140 O 0.6418 0.4666 0.7640
O141 O 0.0824 0.7171 0.7455
O142 O 0.5919 0.7183 0.7640
O143 O 0.2750 0.8318 0.7435
O144 O 0.7679 0.8209 0.7654
# Symmetry: P1
# Size of the total moment, μB per atom: 0.000
# Energy with MP2020 corrections, eV/atom: -8.47
# Final energy, hartree per atom: -0.2939



Question: What is the final energy in the second record?
Answer: -0.2939 hartree per atom